# 1
The following is a DFT calculation (GGA-PBE) of an optimized crystal structure of Na4LaMgP3O12.

Calculated values
Energy of formation from the pure elements, eV per atom: -2.8720
Raw total energy, eV per atom: -6.643
M_tot, μB/atom: 0.000

Cell lengths 9.5074, 9.5074, 22.3524 Å; angles 90.00, 90.00, 120.00 degrees
Closest atoms and distances in Å follow each position.
Fractional coordinates of all 126 atoms:
Na  0.6381  0.0157  0.2477  5 O 2.40-2.67
Na  0.3775  0.3619  0.2477  5 O 2.40-2.67
Na  0.9843  0.6225  0.2477  5 O 2.40-2.67
Na  0.6381  0.6225  0.7477  5 O 2.40-2.67
Na  0.9843  0.3619  0.7477  5 O 2.40-2.67
Na  0.3775  0.0157  0.7477  5 O 2.40-2.67
Na  0.3048  0.3490  0.5811  5 O 2.40-2.67
Na  0.0442  0.6952  0.5811  5 O 2.40-2.67
Na  0.6510  0.9558  0.5811  5 O 2.40-2.67
Na  0.3048  0.9558  0.0811  5 O 2.40-2.67
Na  0.6510  0.6952  0.0811  5 O 2.40-2.67
Na  0.0442  0.3490  0.0811  5 O 2.40-2.67
Na  0.9714  0.6823  0.9144  5 O 2.40-2.67
Na  0.7109  0.0286  0.9144  5 O 2.40-2.67
Na  0.3177  0.2891  0.9144  5 O 2.40-2.67
Na  0.9714  0.2891  0.4144  5 O 2.40-2.67
Na  0.3177  0.0286  0.4144  5 O 2.40-2.67
Na  0.7109  0.6823  0.4144  5 O 2.40-2.67
Na  0.0000  0.0000  0.4922  3 O 2.36
Na  0.0000  0.0000  0.9922  3 O 2.36
Na  0.6667  0.3333  0.8255  3 O 2.36
Na  0.6667  0.3333  0.3255  3 O 2.36
Na  0.3333  0.6667  0.1589  3 O 2.36
Na  0.3333  0.6667  0.6589  3 O 2.36
La  0.0000  0.0000  0.6568  6 O 2.31-2.40
La  0.0000  0.0000  0.1568  6 O 2.31-2.40
La  0.6667  0.3333  0.9902  6 O 2.31-2.40
La  0.6667  0.3333  0.4902  6 O 2.31-2.40
La  0.3333  0.6667  0.3235  6 O 2.31-2.40
La  0.3333  0.6667  0.8235  6 O 2.31-2.40
Mg  0.0000  0.0000  0.3481  6 O 2.17-2.23
Mg  0.0000  0.0000  0.8481  6 O 2.17-2.23
Mg  0.6667  0.3333  0.6815  6 O 2.17-2.23
Mg  0.6667  0.3333  0.1815  6 O 2.17-2.23
Mg  0.3333  0.6667  0.0148  6 O 2.17-2.23
Mg  0.3333  0.6667  0.5148  6 O 2.17-2.23
P  0.3166  0.0152  0.2517  4 O 1.55-1.56
P  0.6986  0.6834  0.2517  4 O 1.55-1.56
P  0.9848  0.3014  0.2517  4 O 1.55-1.56
P  0.3166  0.3014  0.7517  4 O 1.55-1.56
P  0.9848  0.6834  0.7517  4 O 1.55-1.56
P  0.6986  0.0152  0.7517  4 O 1.55-1.56
P  0.9832  0.3486  0.5850  4 O 1.55-1.56
P  0.3653  0.0168  0.5850  4 O 1.55-1.56
P  0.6514  0.6347  0.5850  4 O 1.55-1.56
P  0.9832  0.6347  0.0850  4 O 1.55-1.56
P  0.6514  0.0168  0.0850  4 O 1.55-1.56
P  0.3653  0.3486  0.0850  4 O 1.55-1.56
P  0.6499  0.6819  0.9183  4 O 1.55-1.56
P  0.0320  0.3501  0.9183  4 O 1.55-1.56
P  0.3181  0.9680  0.9183  4 O 1.55-1.56
P  0.6499  0.9680  0.4183  4 O 1.55-1.56
P  0.3181  0.3501  0.4183  4 O 1.55-1.56
P  0.0320  0.6819  0.4183  4 O 1.55-1.56
O  0.2139  0.0225  0.3047  1 P 1.56
O  0.8086  0.7861  0.3047  1 P 1.56
O  0.9775  0.1914  0.3047  1 P 1.56
O  0.2139  0.1914  0.8047  1 P 1.56
O  0.9775  0.7861  0.8047  1 P 1.56
O  0.8086  0.0225  0.8047  1 P 1.56
O  0.7672  0.9906  0.6922  1 P 1.55
O  0.2234  0.2328  0.6922  1 P 1.55
O  0.0094  0.7766  0.6922  1 P 1.55
O  0.7672  0.7766  0.1922  1 P 1.55
O  0.0094  0.2328  0.1922  1 P 1.55
O  0.2234  0.9906  0.1922  1 P 1.55
O  0.8806  0.3558  0.6380  1 P 1.56
O  0.4752  0.1194  0.6380  1 P 1.56
O  0.6442  0.5248  0.6380  1 P 1.56
O  0.8806  0.5248  0.1380  1 P 1.56
O  0.6442  0.1194  0.1380  1 P 1.56
O  0.4752  0.3558  0.1380  1 P 1.56
O  0.4339  0.3239  0.0255  1 P 1.55
O  0.8900  0.5661  0.0255  1 P 1.55
O  0.6761  0.1100  0.0255  1 P 1.55
O  0.4339  0.1100  0.5255  1 P 1.55
O  0.6761  0.5661  0.5255  1 P 1.55
O  0.8900  0.3239  0.5255  1 P 1.55
O  0.5473  0.6892  0.9713  1 P 1.56
O  0.1419  0.4527  0.9713  1 P 1.56
O  0.3108  0.8581  0.9713  1 P 1.56
O  0.5473  0.8581  0.4713  1 P 1.56
O  0.3108  0.4527  0.4713  1 P 1.56
O  0.1419  0.6892  0.4713  1 P 1.56
O  0.1006  0.6573  0.3588  1 P 1.55
O  0.5567  0.8994  0.3588  1 P 1.55
O  0.3427  0.4433  0.3588  1 P 1.55
O  0.1006  0.4433  0.8588  1 P 1.55
O  0.3427  0.8994  0.8588  1 P 1.55
O  0.5567  0.6573  0.8588  1 P 1.55
O  0.0254  0.8418  0.4160  1 P 1.55
O  0.8164  0.9746  0.4160  1 P 1.55
O  0.1582  0.1836  0.4160  1 P 1.55
O  0.0254  0.1836  0.9160  1 P 1.55
O  0.1582  0.9746  0.9160  1 P 1.55
O  0.8164  0.8418  0.9160  1 P 1.55
O  0.0135  0.2015  0.5888  1 P 1.56
O  0.1880  0.9865  0.5888  1 P 1.56
O  0.7985  0.8120  0.5888  1 P 1.56
O  0.0135  0.8120  0.0888  1 P 1.56
O  0.7985  0.9865  0.0888  1 P 1.56
O  0.1880  0.2015  0.0888  1 P 1.56
O  0.6920  0.1751  0.7493  1 P 1.55
O  0.4831  0.3080  0.7493  1 P 1.55
O  0.8249  0.5169  0.7493  1 P 1.55
O  0.6920  0.5169  0.2493  1 P 1.55
O  0.8249  0.3080  0.2493  1 P 1.55
O  0.4831  0.1751  0.2493  1 P 1.55
O  0.6801  0.5348  0.9221  1 P 1.56
O  0.8547  0.3199  0.9221  1 P 1.56
O  0.4652  0.1453  0.9221  1 P 1.56
O  0.6801  0.1453  0.4221  1 P 1.56
O  0.4652  0.3199  0.4221  1 P 1.56
O  0.8547  0.5348  0.4221  1 P 1.56
O  0.3587  0.5084  0.0826  1 P 1.55
O  0.1497  0.6413  0.0826  1 P 1.55
O  0.4916  0.8503  0.0826  1 P 1.55
O  0.3587  0.8503  0.5826  1 P 1.55
O  0.4916  0.6413  0.5826  1 P 1.55
O  0.1497  0.5084  0.5826  1 P 1.55
O  0.3468  0.8681  0.2554  1 P 1.56
O  0.5213  0.6532  0.2554  1 P 1.56
O  0.1319  0.4787  0.2554  1 P 1.56
O  0.3468  0.4787  0.7554  1 P 1.56
O  0.1319  0.6532  0.7554  1 P 1.56
O  0.5213  0.8681  0.7554  1 P 1.56



# 2
The following is a DFT calculation (GGA-PBE) of an optimized crystal structure of Na2LaMgPS2O12.

Calculated values
Energy of formation from the pure elements, eV per atom: -2.6025
Raw total energy, eV per atom: -6.497
Space-group type: Cc
M_tot, μB/atom: 0.000

Cell lengths 9.3804, 9.2805, 23.6628 Å; angles 89.61, 90.00, 120.36 degrees
Closest atoms and distances in Å follow each position.
Fractional coordinates of all 114 atoms:
Na  0.0070  0.6437  0.2403  5 O 2.42-2.67
Na  0.6367  0.6437  0.7403  5 O 2.42-2.67
Na  0.6586  0.9573  0.5780  4 O 2.34-2.58
Na  0.2988  0.9573  0.0780  4 O 2.34-2.58
Na  0.6876  0.0270  0.9083  3 O 2.40-2.60
Na  0.3394  0.0270  0.4083  3 O 2.40-2.60
Na  0.9726  0.9831  0.4885  3 O 2.35-2.50
Na  0.0105  0.9831  0.9885  3 O 2.35-2.50
Na  0.6532  0.3062  0.8219  3 O 2.36-2.52
Na  0.6530  0.3062  0.3219  3 O 2.36-2.52
Na  0.3331  0.6557  0.1556  3 O 2.37-2.47
Na  0.3226  0.6557  0.6556  3 O 2.37-2.47
La  0.0054  0.0012  0.6491  6 O 2.26-2.40
La  0.9958  0.0012  0.1491  6 O 2.26-2.40
La  0.6758  0.3529  0.9826  6 O 2.22-2.42
La  0.6771  0.3529  0.4826  6 O 2.22-2.42
La  0.3502  0.6775  0.3153  6 O 2.21-2.46
La  0.3272  0.6775  0.8153  6 O 2.21-2.46
Mg  0.9932  0.0077  0.3496  6 O 2.14-2.34
Mg  0.0146  0.0077  0.8496  6 O 2.14-2.34
Mg  0.6677  0.3274  0.6828  6 O 2.14-2.30
Mg  0.6598  0.3274  0.1828  6 O 2.14-2.30
Mg  0.3020  0.6601  0.0153  3 O 2.07-2.12
Mg  0.3581  0.6601  0.5153  3 O 2.07-2.12
P  0.3039  0.0168  0.2520  4 O 1.54-1.58
P  0.7128  0.0168  0.7520  4 O 1.54-1.58
P  0.6481  0.6275  0.5894  4 O 1.54-1.58
P  0.9794  0.6275  0.0894  4 O 1.54-1.58
P  0.3201  0.9638  0.9218  4 O 1.54-1.57
P  0.6436  0.9638  0.4218  4 O 1.54-1.57
S  0.7118  0.6896  0.2525  4 O 1.48-1.49
S  0.9812  0.2942  0.2524  4 O 1.47-1.50
S  0.3130  0.2942  0.7524  4 O 1.47-1.50
S  0.9777  0.6896  0.7525  4 O 1.48-1.49
S  0.9722  0.3514  0.5855  4 O 1.47-1.50
S  0.3799  0.0281  0.5829  4 O 1.48-1.49
S  0.6482  0.0281  0.0829  4 O 1.48-1.49
S  0.3792  0.3514  0.0855  4 O 1.47-1.50
S  0.6375  0.6869  0.9155  4 O 1.48-1.50
S  0.0406  0.3532  0.9187  4 O 1.47-1.51
S  0.3126  0.3532  0.4187  4 O 1.47-1.51
S  0.0495  0.6869  0.4155  4 O 1.48-1.50
O  0.2149  0.0288  0.3056  1 P 1.55
O  0.8124  0.7859  0.3013  1 S 1.48
O  0.9726  0.1926  0.3017  1 S 1.47
O  0.2200  0.1926  0.8017  1 S 1.47
O  0.9735  0.7859  0.8013  1 S 1.48
O  0.8139  0.0288  0.8056  1 P 1.55
O  0.7932  0.9905  0.6983  1 P 1.56
O  0.2215  0.2228  0.6996  1 S 1.48
O  0.0044  0.7853  0.6995  1 S 1.48
O  0.7809  0.7853  0.1995  1 S 1.48
O  0.0013  0.2228  0.1996  1 S 1.48
O  0.1973  0.9905  0.1983  1 P 1.56
O  0.8832  0.3625  0.6351  1 S 1.48
O  0.4890  0.1254  0.6302  1 S 1.48
O  0.6428  0.5316  0.6438  1 P 1.55
O  0.8887  0.5316  0.1438  1 P 1.55
O  0.6364  0.1254  0.1302  1 S 1.48
O  0.4793  0.3625  0.1351  1 S 1.48
O  0.4500  0.3225  0.0335  1 S 1.49
O  0.8758  0.5435  0.0364  1 P 1.54
O  0.6688  0.1166  0.0283  1 S 1.48
O  0.4478  0.1166  0.5283  1 S 1.48
O  0.6677  0.5435  0.5364  1 P 1.54
O  0.8725  0.3225  0.5335  1 S 1.49
O  0.5406  0.6927  0.9638  1 S 1.48
O  0.1376  0.4454  0.9685  1 S 1.47
O  0.3016  0.8607  0.9763  1 P 1.56
O  0.5591  0.8607  0.4763  1 P 1.56
O  0.3078  0.4454  0.4685  1 S 1.47
O  0.1521  0.6927  0.4638  1 S 1.48
O  0.1177  0.6669  0.3615  1 S 1.48
O  0.5273  0.8793  0.3706  1 P 1.56
O  0.3336  0.4483  0.3663  1 S 1.47
O  0.1147  0.4483  0.8663  1 S 1.47
O  0.3520  0.8793  0.8706  1 P 1.56
O  0.5492  0.6669  0.8615  1 S 1.48
O  0.0458  0.8465  0.4133  1 S 1.50
O  0.8138  0.9810  0.4115  1 P 1.54
O  0.1615  0.1852  0.4155  1 S 1.49
O  0.0237  0.1852  0.9155  1 S 1.49
O  0.1671  0.9810  0.9115  1 P 1.54
O  0.8007  0.8465  0.9133  1 S 1.50
O  0.9875  0.1982  0.5894  1 S 1.50
O  0.2117  0.0030  0.5886  1 S 1.48
O  0.8002  0.8114  0.5883  1 P 1.58
O  0.0113  0.8114  0.0883  1 P 1.58
O  0.7913  0.0030  0.0886  1 S 1.48
O  0.2107  0.1982  0.0894  1 S 1.50
O  0.6893  0.1688  0.7441  1 P 1.54
O  0.4793  0.3109  0.7488  1 S 1.49
O  0.8173  0.5293  0.7489  1 S 1.49
O  0.7121  0.5293  0.2489  1 S 1.49
O  0.8316  0.3109  0.2488  1 S 1.49
O  0.4795  0.1688  0.2441  1 P 1.54
O  0.6674  0.5447  0.9189  1 S 1.48
O  0.8675  0.3242  0.9216  1 S 1.51
O  0.4846  0.1369  0.9239  1 P 1.57
O  0.6523  0.1369  0.4239  1 P 1.57
O  0.4567  0.3242  0.4216  1 S 1.51
O  0.8773  0.5447  0.4189  1 S 1.48
O  0.3640  0.5012  0.0792  1 S 1.47
O  0.1537  0.6460  0.0832  1 P 1.56
O  0.4922  0.8628  0.0809  1 S 1.49
O  0.3706  0.8628  0.5809  1 S 1.49
O  0.4923  0.6460  0.5832  1 P 1.56
O  0.1373  0.5012  0.5792  1 S 1.47
O  0.3100  0.8496  0.2542  1 P 1.58
O  0.5392  0.6542  0.2555  1 S 1.48
O  0.1274  0.4682  0.2560  1 S 1.50
O  0.3407  0.4682  0.7560  1 S 1.50
O  0.1150  0.6542  0.7555  1 S 1.48
O  0.5396  0.8496  0.7542  1 P 1.58



# 3
The following is a DFT calculation (GGA-PBE) of an optimized crystal structure of NaLaMgS3O12.

Calculated values
Energy of formation from the pure elements, eV per atom: -2.4607
Raw total energy, eV per atom: -6.427
M_tot, μB/atom: 0.000

Cell lengths 9.1493, 9.1493, 24.0860 Å; angles 90.00, 90.00, 120.00 degrees
Closest atoms and distances in Å follow each position.
Fractional coordinates of all 108 atoms:
Na  0.0000  0.0000  0.4880  3 O 2.39
Na  0.0000  0.0000  0.9880  3 O 2.39
Na  0.6667  0.3333  0.8213  3 O 2.39
Na  0.6667  0.3333  0.3213  3 O 2.39
Na  0.3333  0.6667  0.1546  3 O 2.39
Na  0.3333  0.6667  0.6546  3 O 2.39
La  0.0000  0.0000  0.6469  6 O 2.32-2.37
La  0.0000  0.0000  0.1469  6 O 2.32-2.37
La  0.6667  0.3333  0.9802  6 O 2.32-2.37
La  0.6667  0.3333  0.4802  6 O 2.32-2.37
La  0.3333  0.6667  0.3136  6 O 2.32-2.37
La  0.3333  0.6667  0.8136  6 O 2.32-2.37
Mg  0.0000  0.0000  0.3489  6 O 2.19-2.23
Mg  0.0000  0.0000  0.8489  6 O 2.19-2.23
Mg  0.6667  0.3333  0.6822  6 O 2.19-2.23
Mg  0.6667  0.3333  0.1822  6 O 2.19-2.23
Mg  0.3333  0.6667  0.0155  6 O 2.19-2.23
Mg  0.3333  0.6667  0.5155  6 O 2.19-2.23
S  0.3106  0.0251  0.2520  4 O 1.48-1.50
S  0.7146  0.6894  0.2520  4 O 1.48-1.50
S  0.9749  0.2854  0.2520  4 O 1.48-1.50
S  0.3106  0.2854  0.7520  4 O 1.48-1.50
S  0.9749  0.6894  0.7520  4 O 1.48-1.50
S  0.7146  0.0251  0.7520  4 O 1.48-1.50
S  0.9772  0.3585  0.5853  4 O 1.48-1.50
S  0.3812  0.0228  0.5853  4 O 1.48-1.50
S  0.6415  0.6188  0.5853  4 O 1.48-1.50
S  0.9772  0.6188  0.0853  4 O 1.48-1.50
S  0.6415  0.0228  0.0853  4 O 1.48-1.50
S  0.3812  0.3585  0.0853  4 O 1.48-1.50
S  0.6439  0.6918  0.9187  4 O 1.48-1.50
S  0.0479  0.3561  0.9187  4 O 1.48-1.50
S  0.3082  0.9521  0.9187  4 O 1.48-1.50
S  0.6439  0.9521  0.4187  4 O 1.48-1.50
S  0.3082  0.3561  0.4187  4 O 1.48-1.50
S  0.0479  0.6918  0.4187  4 O 1.48-1.50
O  0.2176  0.0323  0.3013  1 S 1.48
O  0.8147  0.7824  0.3013  1 S 1.48
O  0.9677  0.1853  0.3013  1 S 1.48
O  0.2176  0.1853  0.8013  1 S 1.48
O  0.9677  0.7824  0.8013  1 S 1.48
O  0.8147  0.0323  0.8013  1 S 1.48
O  0.7904  0.0027  0.7005  1 S 1.49
O  0.2123  0.2096  0.7005  1 S 1.49
O  0.9973  0.7877  0.7005  1 S 1.49
O  0.7904  0.7877  0.2005  1 S 1.49
O  0.9973  0.2096  0.2005  1 S 1.49
O  0.2123  0.0027  0.2005  1 S 1.49
O  0.8843  0.3656  0.6346  1 S 1.48
O  0.4813  0.1157  0.6346  1 S 1.48
O  0.6344  0.5187  0.6346  1 S 1.48
O  0.8843  0.5187  0.1346  1 S 1.48
O  0.6344  0.1157  0.1346  1 S 1.48
O  0.4813  0.3656  0.1346  1 S 1.48
O  0.4570  0.3360  0.0338  1 S 1.49
O  0.8790  0.5430  0.0338  1 S 1.49
O  0.6640  0.1210  0.0338  1 S 1.49
O  0.4570  0.1210  0.5338  1 S 1.49
O  0.6640  0.5430  0.5338  1 S 1.49
O  0.8790  0.3360  0.5338  1 S 1.49
O  0.5509  0.6990  0.9679  1 S 1.48
O  0.1480  0.4491  0.9679  1 S 1.48
O  0.3010  0.8520  0.9679  1 S 1.48
O  0.5509  0.8520  0.4679  1 S 1.48
O  0.3010  0.4491  0.4679  1 S 1.48
O  0.1480  0.6990  0.4679  1 S 1.48
O  0.1237  0.6694  0.3671  1 S 1.49
O  0.5457  0.8763  0.3671  1 S 1.49
O  0.3306  0.4543  0.3671  1 S 1.49
O  0.1237  0.4543  0.8671  1 S 1.49
O  0.3306  0.8763  0.8671  1 S 1.49
O  0.5457  0.6694  0.8671  1 S 1.49
O  0.0369  0.8476  0.4139  1 S 1.48
O  0.8107  0.9631  0.4139  1 S 1.48
O  0.1524  0.1893  0.4139  1 S 1.48
O  0.0369  0.1893  0.9139  1 S 1.48
O  0.1524  0.9631  0.9139  1 S 1.48
O  0.8107  0.8476  0.9139  1 S 1.48
O  0.0028  0.2091  0.5878  1 S 1.50
O  0.2063  0.9972  0.5878  1 S 1.50
O  0.7909  0.7937  0.5878  1 S 1.50
O  0.0028  0.7937  0.0878  1 S 1.50
O  0.7909  0.9972  0.0878  1 S 1.50
O  0.2063  0.2091  0.0878  1 S 1.50
O  0.7035  0.1809  0.7473  1 S 1.48
O  0.4774  0.2965  0.7473  1 S 1.48
O  0.8191  0.5226  0.7473  1 S 1.48
O  0.7035  0.5226  0.2473  1 S 1.48
O  0.8191  0.2965  0.2473  1 S 1.48
O  0.4774  0.1809  0.2473  1 S 1.48
O  0.6695  0.5424  0.9211  1 S 1.50
O  0.8729  0.3305  0.9211  1 S 1.50
O  0.4576  0.1271  0.9211  1 S 1.50
O  0.6695  0.1271  0.4211  1 S 1.50
O  0.4576  0.3305  0.4211  1 S 1.50
O  0.8729  0.5424  0.4211  1 S 1.50
O  0.3702  0.5143  0.0806  1 S 1.48
O  0.1441  0.6298  0.0806  1 S 1.48
O  0.4857  0.8559  0.0806  1 S 1.48
O  0.3702  0.8559  0.5806  1 S 1.48
O  0.4857  0.6298  0.5806  1 S 1.48
O  0.1441  0.5143  0.5806  1 S 1.48
O  0.3362  0.8758  0.2544  1 S 1.50
O  0.5396  0.6638  0.2544  1 S 1.50
O  0.1242  0.4604  0.2544  1 S 1.50
O  0.3362  0.4604  0.7544  1 S 1.50
O  0.1242  0.6638  0.7544  1 S 1.50
O  0.5396  0.8758  0.7544  1 S 1.50



The lowest energy of formation from the pure elements belongs to which entry?
Na4LaMgP3O12



Which of these has the highest raw total energy?
NaLaMgS3O12



What is the formula in the first record?
Na4LaMgP3O12